# 1
# Cs2HoCl5

Crystalline Cs2HoCl5 at its relaxed geometry (PBE-GGA, Materials Project).

Lattice parameters (Å, degrees): 7.562 9.719 15.515 90.00 90.00 90.00
Atoms (fractional coordinates):
Cs  0.250  0.665  0.916
Cs  0.750  0.335  0.084
Cs  0.750  0.835  0.416
Cs  0.250  0.165  0.584
Cs  0.250  0.975  0.212
Cs  0.750  0.025  0.788
Cs  0.750  0.525  0.712
Cs  0.250  0.475  0.288
Ho  0.250  0.678  0.565
Ho  0.750  0.322  0.435
Ho  0.750  0.822  0.065
Ho  0.250  0.178  0.935
Cl  0.250  0.519  0.700
Cl  0.750  0.481  0.300
Cl  0.750  0.981  0.200
Cl  0.250  0.019  0.800
Cl  0.502  0.833  0.619
Cl  0.498  0.167  0.381
Cl  0.498  0.667  0.119
Cl  0.002  0.167  0.381
Cl  0.502  0.333  0.881
Cl  0.998  0.833  0.619
Cl  0.998  0.333  0.881
Cl  0.002  0.667  0.119
Cl  0.250  0.788  0.409
Cl  0.750  0.212  0.591
Cl  0.750  0.712  0.909
Cl  0.250  0.288  0.091
Cl  0.000  0.500  0.500
Cl  0.000  0.000  0.000
Cl  0.500  0.500  0.500
Cl  0.500  0.000  0.000

Computed properties:
Symmetry   Pnma, No. 62
Final energy   -33.170 eV per formula unit


# 2
# MgTaPS2O12

Crystalline MgTaPS2O12 at its relaxed geometry (PBE-GGA, Materials Project).

Lattice parameters (Å, degrees): 8.708 8.707 22.399 90.04 90.00 120.00
Atoms (fractional coordinates):
Mg  0.995  0.003  0.354
Mg  0.008  0.003  0.854
Mg  0.667  0.335  0.688
Mg  0.668  0.335  0.188
Mg  0.331  0.667  0.021
Mg  0.335  0.667  0.521
Ta  0.005  0.011  0.644
Ta  0.006  0.011  0.144
Ta  0.656  0.328  0.977
Ta  0.672  0.328  0.477
Ta  0.336  0.668  0.311
Ta  0.333  0.668  0.811
P  0.991  0.287  0.252
P  0.296  0.287  0.752
P  0.961  0.344  0.586
P  0.383  0.344  0.086
P  0.323  0.949  0.918
P  0.626  0.949  0.418
S  0.292  0.006  0.251
S  0.715  0.709  0.251
S  0.994  0.709  0.751
S  0.714  0.006  0.751
S  0.381  0.042  0.585
S  0.662  0.620  0.584
S  0.958  0.620  0.084
S  0.661  0.042  0.085
S  0.625  0.673  0.918
S  0.046  0.375  0.918
S  0.329  0.375  0.418
S  0.048  0.673  0.418
O  0.206  0.027  0.304
O  0.821  0.792  0.303
O  0.974  0.175  0.305
O  0.201  0.175  0.805
O  0.970  0.792  0.803
O  0.820  0.027  0.804
O  0.792  0.965  0.696
O  0.167  0.199  0.695
O  0.033  0.826  0.696
O  0.793  0.826  0.196
O  0.032  0.199  0.195
O  0.173  0.965  0.196
O  0.867  0.360  0.639
O  0.487  0.126  0.637
O  0.638  0.512  0.637
O  0.874  0.512  0.137
O  0.639  0.126  0.137
O  0.493  0.360  0.139
O  0.467  0.301  0.028
O  0.840  0.539  0.030
O  0.702  0.160  0.030
O  0.458  0.160  0.530
O  0.699  0.539  0.530
O  0.833  0.301  0.528
O  0.542  0.695  0.970
O  0.155  0.459  0.970
O  0.308  0.840  0.972
O  0.533  0.840  0.472
O  0.304  0.459  0.470
O  0.153  0.695  0.470
O  0.125  0.633  0.363
O  0.499  0.865  0.361
O  0.366  0.494  0.363
O  0.127  0.494  0.863
O  0.366  0.865  0.861
O  0.507  0.633  0.863
O  0.023  0.822  0.407
O  0.806  0.980  0.407
O  0.181  0.200  0.407
O  0.020  0.200  0.907
O  0.173  0.980  0.907
O  0.800  0.822  0.907
O  0.970  0.165  0.593
O  0.199  0.026  0.592
O  0.829  0.801  0.593
O  0.972  0.801  0.093
O  0.827  0.026  0.092
O  0.194  0.165  0.093
O  0.688  0.154  0.741
O  0.475  0.314  0.739
O  0.846  0.533  0.741
O  0.687  0.533  0.241
O  0.839  0.314  0.239
O  0.465  0.154  0.241
O  0.641  0.506  0.925
O  0.866  0.362  0.925
O  0.502  0.139  0.927
O  0.637  0.139  0.427
O  0.496  0.362  0.425
O  0.866  0.506  0.425
O  0.352  0.494  0.072
O  0.132  0.645  0.074
O  0.512  0.867  0.074
O  0.354  0.867  0.574
O  0.513  0.645  0.574
O  0.141  0.494  0.572
O  0.304  0.838  0.258
O  0.533  0.694  0.259
O  0.168  0.475  0.261
O  0.307  0.475  0.761
O  0.161  0.694  0.759
O  0.533  0.838  0.758

Computed properties:
Total magnetization   0.00 μB per cell
Symmetry   Cc, No. 9
Final energy   -120.857 eV per formula unit


Q: Number 1 is which compound?
A: Cs2HoCl5


Q: final energy of number 1 (Cs2HoCl5)?
A: -33.170 eV per formula unit